## Ta2Ni21B6 (meta-GGA r2SCAN)

Data for a relaxed structure of Ta2Ni21B6.

For the spin magnetization, the calculation gives 0.00 μB per formula unit. The formation energy comes out at -30.73 kJ/mol of atoms. As for the electronic total energy: -13.866 eV/atom.

The space group is Fm-3m (No. 225) and the conventional cell measures 10.423, 10.423 and 10.423 Å, with angles of 90.00, 90.00 and 90.00 degrees. The distinct sites, in fractional coordinates, are Ta at (0.250, 0.250, 0.250), Ni at (0.000, 0.000, 0.000), Ni at (0.000, 0.170, 0.170), Ni at (0.116, 0.116, 0.384) and B at (0.000, 0.000, 0.268).

***

## DyAgSn2 (meta-GGA r2SCAN)

Data for a relaxed structure of DyAgSn2.

For the spin magnetization, the calculation gives 0.00 μB per formula unit. The formation energy comes out at -43.03 kJ/mol of atoms. As for the electronic total energy: -26.153 eV/atom.

The space group is P4/mmm (No. 123) and the conventional cell measures 4.620, 4.620 and 4.373 Å, with angles of 90.00, 90.00 and 90.00 degrees. The distinct sites, in fractional coordinates, are Dy at (0.000, 0.000, 0.000), Ag at (0.500, 0.500, 0.000) and Sn at (0.000, 0.500, 0.500).

***

## Hf2OsPd (meta-GGA r2SCAN)

Data for a relaxed structure of Hf2OsPd.

For the spin magnetization, the calculation gives 0.00 μB per formula unit. The formation energy comes out at -71.59 kJ/mol of atoms. As for the electronic total energy: -42.304 eV/atom.

The space group is Fm-3m (No. 225) and the conventional cell measures 6.542, 6.542 and 6.542 Å, with angles of 90.00, 90.00 and 90.00 degrees. The distinct sites, in fractional coordinates, are Hf at (0.250, 0.250, 0.250), Os at (0.000, 0.000, 0.000) and Pd at (0.000, 0.000, 0.500).

***

## BaB2Se6 (meta-GGA r2SCAN)

Data for a relaxed structure of BaB2Se6.

For the spin magnetization, the calculation gives 0.00 μB per formula unit. The formation energy comes out at -65.80 kJ/mol of atoms. As for the electronic total energy: -14.800 eV/atom.

The space group is Cmce (No. 64) and the conventional cell measures 11.374, 7.755 and 10.496 Å, with angles of 90.00, 90.00 and 90.00 degrees. The distinct sites, in fractional coordinates, are Ba at (0.000, 0.000, 0.000), B at (0.114, 0.000, 0.500), Se at (0.000, 0.099, 0.363) and Se at (0.208, 0.185, 0.592).

***

## KO2 (meta-GGA r2SCAN)

Data for a relaxed structure of KO2.

For the spin magnetization, the calculation gives 1.00 μB per formula unit. The calculation puts the polymorph energy (0 for the lowest one) at 56 meV per atom. The formation energy comes out at -86.67 kJ/mol of atoms. As for the electronic total energy: -6.886 eV/atom.

The space group is C2/c (No. 15) and the conventional cell measures 9.481, 4.071 and 7.507 Å, with angles of 90.00, 127.91 and 90.00 degrees. The distinct sites, in fractional coordinates, are K at (0.250, 0.250, 0.000) and O at (0.050, 0.137, 0.550).

***

## CeMg2 (meta-GGA r2SCAN)

Data for a relaxed structure of CeMg2.

For the spin magnetization, the calculation gives 0.90 μB per formula unit. The formation energy comes out at -1.76 kJ/mol of atoms. As for the electronic total energy: -13.078 eV/atom.

The space group is C2/m (No. 12) and the conventional cell measures 11.388, 3.278 and 8.284 Å, with angles of 90.00, 104.25 and 90.00 degrees. The distinct sites, in fractional coordinates, are Ce at (0.157, 0.000, 0.030), Mg at (0.027, 0.500, 0.313) and Mg at (0.187, 0.000, 0.619).

***

## LiAl (meta-GGA r2SCAN)

Data for a relaxed structure of LiAl.

For the spin magnetization, the calculation gives 0.00 μB per formula unit. The formation energy comes out at -20.12 kJ/mol of atoms. As for the electronic total energy: -4.768 eV/atom.

The space group is Fd-3m (No. 227, origin choice 2) and the conventional cell measures 6.327, 6.327 and 6.327 Å, with angles of 90.00, 90.00 and 90.00 degrees. The distinct sites, in fractional coordinates, are Li at (0.125, 0.125, 0.125) and Al at (0.125, 0.125, 0.625).

***

## Re4As5S4 (meta-GGA r2SCAN)

Data for a relaxed structure of Re4As5S4.

For the spin magnetization, the calculation gives 0.00 μB per formula unit. The formation energy comes out at -37.66 kJ/mol of atoms. As for the electronic total energy: -24.645 eV/atom.

The space group is F-43m (No. 216) and the conventional cell measures 9.951, 9.951 and 9.951 Å, with angles of 90.00, 90.00 and 90.00 degrees. The distinct sites, in fractional coordinates, are Re at (0.099, 0.099, 0.099), As at (0.000, 0.000, 0.500), As at (0.144, 0.144, 0.356) and S at (0.131, 0.131, 0.869).

***

## Cd2GeO4 (meta-GGA r2SCAN)

Data for a relaxed structure of Cd2GeO4.

For the spin magnetization, the calculation gives 0.00 μB per formula unit. The formation energy comes out at -150.78 kJ/mol of atoms. As for the electronic total energy: -12.702 eV/atom.

The space group is Pnma (No. 62) and the conventional cell measures 11.233, 6.605 and 5.230 Å, with angles of 90.00, 90.00 and 90.00 degrees. The distinct sites, in fractional coordinates, are Cd at (0.000, 0.000, 0.000), Cd at (0.220, 0.250, 0.489), Ge at (0.098, 0.750, 0.433), O at (0.047, 0.250, 0.709), O at (0.097, 0.750, 0.767) and O at (0.165, 0.539, 0.280).